{"formula": "U3Ti", "functional": "PBE", "state": "optimized geometry", "rho_g_cm3": 15.78, "total_magnetization_mub_per_fu": 0.0, "e_form_kcal_per_mol_atoms": 6.27, "lattice_angstrom": [[-3.899, 2.242, 3.803], [-1.687, -4.108, -3.869], [1.234, -3.820, 3.517]], "species": ["U", "U", "U", "U", "U", "U", "Ti", "Ti"], "fractional_positions": [[0.178, 0.356, 0.250], [0.644, 0.822, 0.250], [0.178, 0.822, 0.250], [0.822, 0.644, 0.750], [0.356, 0.178, 0.750], [0.822, 0.178, 0.750], [0.333, 0.667, 0.750], [0.667, 0.333, 0.250]]}